Entry 1:
Material: Th3Mg
Method: DFT, r²SCAN
State: relaxed

abc: 6.1289 6.1289 6.1289
angles: 132.59 132.59 69.29
Atoms (fractional coordinates):
Th1 0.5000 0.5000 0.0000
Th2 0.7500 0.2500 0.5000
Th3 0.2500 0.7500 0.5000
Mg1 0.0000 0.0000 0.0000

Summary:
- energy relative to the elements (eV/atom) = 0.058
- magnetization (μB per formula unit) = 0.0

Entry 2:
Material: ThMgZn2
Method: DFT, r²SCAN
State: relaxed

abc: 4.9379 4.9379 4.9379
angles: 60.00 60.00 60.00
Atoms (fractional coordinates):
Th1 0.7500 0.7500 0.7500
Mg1 0.2500 0.2500 0.2500
Zn1 0.0000 0.0000 0.0000
Zn2 0.5000 0.5000 0.5000

Summary:
- energy relative to the elements (eV/atom) = -0.223
- magnetization (μB per formula unit) = 0.0

Entry 3:
Material: TmMgTl
Method: DFT, r²SCAN
State: relaxed

abc: 7.4378 7.4378 4.5862
angles: 90.00 90.00 120.00
Atoms (fractional coordinates):
Tm1 0.5699 0.0000 0.0000
Tm2 0.0000 0.5699 0.0000
Tm3 0.4301 0.4301 0.0000
Mg1 0.2436 0.0000 0.5000
Mg2 0.0000 0.2436 0.5000
Mg3 0.7564 0.7564 0.5000
Tl1 0.3333 0.6667 0.5000
Tl2 0.6667 0.3333 0.5000
Tl3 0.0000 0.0000 0.0000

Summary:
- energy relative to the elements (eV/atom) = -0.390
- magnetization (μB per formula unit) = 0.0

Entry 4:
Material: Tm3Mg
Method: DFT, r²SCAN
State: relaxed

abc: 6.8960 6.8960 5.5003
angles: 90.00 90.00 120.00
Atoms (fractional coordinates):
Tm1 0.1692 0.3383 0.2500
Tm2 0.1692 0.8308 0.2500
Tm3 0.6617 0.8308 0.2500
Tm4 0.3383 0.1692 0.7500
Tm5 0.8308 0.1692 0.7500
Tm6 0.8308 0.6617 0.7500
Mg1 0.6667 0.3333 0.2500
Mg2 0.3333 0.6667 0.7500

Summary:
- energy relative to the elements (eV/atom) = 0.007
- magnetization (μB per formula unit) = 0.0
- energy above the most stable polymorph in this dataset (meV per atom) = 18.8

- Which value of magnetization does entry 3 give?
  0.0 μB per formula unit

- Which formula does entry 3 have?
  TmMgTl

- What is the formula in the first record?
  Th3Mg